1.
A relaxed structure of Nb3Pd, computed with PBE.

The space group is Cmmm (No. 65) and the conventional cell measures 3.435, 4.448 and 9.120 Å, with angles of 90.00, 90.00 and 90.00 degrees. The inequivalent atoms are Nb at (0.000, 0.000, 0.000), Nb at (0.000, 0.500, 0.259) and Pd at (0.000, 0.000, 0.500).

The total energy is -36.11 eV per formula unit. Its calculated density is 9.178 g/cm³.


2.
A relaxed structure of MgZn, computed with PBE.

The space group is C2/m (No. 12) and the conventional cell measures 10.372, 3.075 and 4.970 Å, with angles of 90.00, 111.30 and 90.00 degrees. The inequivalent atoms are Mg at (0.111, 0.000, 0.312) and Zn at (0.143, 0.500, 0.828).

The total energy is -2.96 eV per formula unit. Its calculated density is 4.035 g/cm³.


> Look up the calculated density of the second one.

4.035 g/cm³